! TmBeNF6 PBE relaxed; values from VASP
&SYSTEM
  ibrav = 0, nat = 18, ntyp = 4
/
ATOMIC_SPECIES
F 19.00 F.upf
Tm 168.93 Tm.upf
N 14.01 N.upf
Be 9.01 Be.upf
ATOMIC_POSITIONS angstrom
F 0.252 5.019 6.413
F 2.715 6.609 3.989
F 4.388 4.448 4.229
Tm 4.388 6.340 5.277
N 4.388 5.605 0.992
F 0.210 6.609 3.989
F 2.673 5.019 6.413
F 4.388 8.501 4.884
F 3.177 4.347 0.340
F 1.463 4.918 2.523
F 3.135 2.758 2.764
F 5.640 2.758 2.764
F 5.598 4.347 0.340
Be 1.463 6.380 3.074
Tm 1.463 3.026 1.475
N 1.463 3.762 5.760
Be 4.388 2.986 3.679
F 1.463 0.866 1.869
CELL_PARAMETERS angstrom
5.850 0.000 0.000
0.000 6.511 0.000
0.000 2.856 6.752
! VASP energy	-5.4788	eV per atom

! KPrHfInO6 PBE relaxed; values from VASP
&SYSTEM
  ibrav = 0, nat = 10, ntyp = 5
/
ATOMIC_SPECIES
O 16.00 O.upf
In 114.82 In.upf
K 39.10 K.upf
Hf 178.49 Hf.upf
Pr 140.91 Pr.upf
ATOMIC_POSITIONS angstrom
O 6.289 -4.168 -4.168
In 4.168 -4.168 -4.168
O 2.047 -4.168 -4.168
O 4.168 -2.047 -4.168
O 4.168 -4.168 -6.289
O 4.168 -6.289 -4.168
K 2.084 -2.084 -2.084
Hf 0.000 0.000 0.000
O 4.168 -4.168 -2.047
Pr 6.252 -6.252 -6.252
CELL_PARAMETERS angstrom
0.000 -4.168 -4.168
4.168 0.000 -4.168
4.168 -4.168 0.000
! VASP energy	-7.1475	eV per atom

! TbBPd3 PBE relaxed; values from VASP
&SYSTEM
  ibrav = 0, nat = 5, ntyp = 3
/
ATOMIC_SPECIES
Tb 158.93 Tb.upf
B 10.81 B.upf
Pd 106.42 Pd.upf
ATOMIC_POSITIONS angstrom
Tb 0.000 0.000 0.000
B -3.147 1.333 1.538
Pd -2.856 -0.697 0.848
Pd -1.210 1.283 2.501
Pd -2.228 2.080 -0.273
CELL_PARAMETERS angstrom
-0.581 4.061 1.380
-3.875 0.100 -1.925
-1.838 -1.494 3.622
! VASP energy	-5.9891	eV per atom

! KCaHfBiO6 PBE relaxed; values from VASP
&SYSTEM
  ibrav = 0, nat = 10, ntyp = 5
/
ATOMIC_SPECIES
O 16.00 O.upf
Bi 208.98 Bi.upf
K 39.10 K.upf
Hf 178.49 Hf.upf
Ca 40.08 Ca.upf
ATOMIC_POSITIONS angstrom
O 4.163 -4.163 -6.223
Bi 0.000 0.000 0.000
O 4.163 -2.103 -4.163
O 6.223 -4.163 -4.163
O 4.163 -4.163 -2.103
O 4.163 -6.223 -4.163
O 2.103 -4.163 -4.163
K 6.245 -6.245 -6.245
Hf 4.163 -4.163 -4.163
Ca 2.082 -2.082 -2.082
CELL_PARAMETERS angstrom
0.000 -4.163 -4.163
4.163 0.000 -4.163
4.163 -4.163 0.000
! VASP energy	-6.8337	eV per atom

! NiS2 PBE relaxed; values from VASP
&SYSTEM
  ibrav = 0, nat = 6, ntyp = 2
/
ATOMIC_SPECIES
S 32.06 S.upf
Ni 58.69 Ni.upf
ATOMIC_POSITIONS angstrom
S 1.257 1.278 1.114
S 3.834 1.257 -1.114
Ni 0.000 2.556 2.228
S 1.300 1.278 5.569
Ni 0.000 0.000 0.000
S -1.278 1.300 3.341
CELL_PARAMETERS angstrom
-2.556 2.556 4.455
2.556 -2.556 4.455
2.556 2.556 -4.455
! VASP energy	-4.5608	eV per atom

! K2CuSbCl6 PBE relaxed; values from VASP
&SYSTEM
  ibrav = 0, nat = 10, ntyp = 4
/
ATOMIC_SPECIES
Cl 35.45 Cl.upf
Sb 121.76 Sb.upf
K 39.10 K.upf
Cu 63.55 Cu.upf
ATOMIC_POSITIONS angstrom
Cl 6.001 -8.539 -1.915
Cl 4.389 -4.581 -4.527
Cl 7.492 -6.251 -4.171
Cl 4.605 -8.063 -5.136
Sb 0.000 0.000 0.000
Cl 5.785 -5.057 -1.306
K 2.597 -3.280 -1.611
Cu 5.195 -6.560 -3.221
K 7.792 -9.840 -4.832
Cl 2.898 -6.869 -2.271
CELL_PARAMETERS angstrom
6.414 -3.453 0.736
0.448 -7.198 -1.258
3.529 -2.469 -5.920
! VASP energy	-3.3452	eV per atom

! LiCuPO4 PBE relaxed; values from VASP
&SYSTEM
  ibrav = 0, nat = 56, ntyp = 4
/
ATOMIC_SPECIES
O 16.00 O.upf
P 30.97 P.upf
Cu 63.55 Cu.upf
Li 6.94 Li.upf
ATOMIC_POSITIONS angstrom
O 6.922 -2.914 2.991
P 1.797 -1.418 1.661
O 6.800 -6.119 0.940
O 4.363 -2.790 3.093
Cu 2.684 -5.909 -0.266
O 4.245 -5.900 0.917
P 13.224 -8.561 -1.843
O 14.529 -5.779 1.081
P 1.726 -3.513 -1.849
O 9.225 -8.519 0.060
O 11.846 -8.898 -1.095
O 5.760 -3.855 0.767
O 9.451 -1.506 -0.752
Cu 2.752 -3.877 3.327
O 1.730 -2.952 1.916
O 9.386 -4.484 1.022
O 3.057 -4.192 -1.265
O 5.571 -8.473 0.570
Cu 12.270 -6.101 -3.510
Cu 12.338 -4.070 0.083
Cu 4.622 -4.329 -2.433
P 5.632 -5.333 0.344
Li 7.330 -4.948 -2.566
O 13.305 -7.950 1.244
O 9.262 -6.124 -0.950
P 9.390 -4.646 -0.526
O 14.406 -8.984 -0.970
O 1.717 -2.029 -1.426
P 9.319 -6.741 -4.036
Cu 4.690 -2.297 1.160
Li 15.007 -5.940 -3.047
O 13.453 -2.992 -1.136
P 13.295 -6.466 1.667
O 1.528 -6.647 -1.624
Cu 10.331 -7.681 -1.343
O 1.568 -6.987 0.953
Li 7.409 -2.683 0.721
O 11.964 -5.787 1.082
O 13.494 -3.332 1.441
O 3.176 -1.081 0.912
O 10.658 -7.189 -3.276
O 5.797 -1.460 -0.242
O 13.292 -7.027 -2.098
O 0.493 -4.200 -1.264
Li 7.691 -5.031 2.383
P 5.703 -3.238 3.854
Li 7.613 -7.296 -0.903
O 0.616 -0.995 0.788
O 10.777 -4.079 -1.099
Li -0.064 -6.304 -0.422
O 8.222 -3.860 -1.122
Cu 10.399 -5.650 2.251
Li 0.014 -4.039 2.865
Li 15.086 -3.675 0.240
O 5.635 -5.494 -1.205
O 8.099 -7.065 -3.174
CELL_PARAMETERS angstrom
-0.155 -3.313 4.351
-0.228 -6.032 -4.601
15.405 -0.634 0.067
! distance to the lowest polymorph of the same formula	37	meV per atom

! Pr3Pt4 PBE relaxed; values from VASP
&SYSTEM
  ibrav = 0, nat = 14, ntyp = 2
/
ATOMIC_SPECIES
Pr 140.91 Pr.upf
Pt 195.08 Pt.upf
ATOMIC_POSITIONS angstrom
Pr -1.786 0.918 -4.774
Pt -2.216 0.755 -1.745
Pt -2.939 -1.970 -4.184
Pr 0.330 2.458 -1.689
Pr -0.859 -1.968 -2.095
Pt 0.000 0.000 0.000
Pr -2.646 0.593 1.283
Pt 0.860 0.116 -3.751
Pt -5.293 1.394 0.260
Pr -4.762 -0.947 -1.802
Pt -1.493 3.480 0.693
Pt -3.053 -2.340 0.155
Pt -1.380 3.851 -3.645
Pr -3.574 3.479 -1.395
CELL_PARAMETERS angstrom
3.709 2.347 -6.952
-4.413 -6.907 -0.643
-3.729 6.070 4.104
! VASP energy	-6.5725	eV per atom

! PuZr2 PBE relaxed; values from VASP
&SYSTEM
  ibrav = 0, nat = 3, ntyp = 2
/
ATOMIC_SPECIES
Pu 244.00 Pu.upf
Zr 91.22 Zr.upf
ATOMIC_POSITIONS angstrom
Pu -2.498 1.443 -1.475
Zr -2.505 -1.461 -1.475
Zr -0.005 0.003 0.000
CELL_PARAMETERS angstrom
0.000 0.000 -2.950
-2.517 -4.363 0.000
-2.490 4.347 0.000
! VASP energy	-9.9228	eV per atom

! MgCu2P2O9 PBE relaxed; values from VASP
&SYSTEM
  ibrav = 0, nat = 56, ntyp = 4
/
ATOMIC_SPECIES
Mg 24.30 Mg.upf
O 16.00 O.upf
P 30.97 P.upf
Cu 63.55 Cu.upf
ATOMIC_POSITIONS angstrom
Mg 1.559 0.740 3.953
O 1.559 2.352 0.291
P 1.559 0.951 1.010
Mg 4.676 6.401 10.341
O 4.676 3.923 10.423
O 3.514 6.223 12.256
Cu 3.117 3.571 0.000
O 4.676 4.790 14.004
O 1.559 4.467 13.566
P 4.676 0.810 4.322
P 1.559 2.619 8.157
Mg 4.676 4.311 3.194
Cu 3.117 0.000 7.147
O 2.877 4.365 2.004
O 4.676 6.790 3.276
O 1.559 5.691 3.696
O 4.676 3.412 7.142
O 4.676 0.896 7.876
O 5.994 2.777 12.290
O 0.397 2.652 9.185
O 5.994 0.794 5.143
O 5.838 6.223 12.256
O 4.676 5.923 6.857
O 4.676 2.121 3.451
Cu 1.559 6.091 12.570
Cu 1.559 4.622 5.423
O 0.397 0.919 2.038
O 4.676 0.159 14.289
O 1.559 1.219 7.438
Cu 0.000 0.000 7.147
O 4.676 1.450 10.598
Cu 0.000 3.571 0.000
O 1.559 3.219 3.871
O 0.240 6.348 9.151
P 1.559 6.332 9.972
P 1.559 4.381 2.825
O 3.358 0.794 5.143
O 2.877 6.348 9.151
O 1.559 3.730 7.153
Mg 1.559 2.830 11.101
O 2.721 2.652 9.185
O 0.240 4.365 2.004
Cu 4.676 1.051 1.724
O 4.676 2.675 0.728
O 3.358 2.777 12.290
O 1.559 0.352 11.018
O 2.721 0.919 2.038
O 3.514 4.490 5.109
O 1.559 6.246 6.419
P 4.676 6.190 13.285
P 4.676 4.522 6.137
Cu 4.676 2.520 8.871
O 5.838 4.490 5.109
O 1.559 6.983 0.005
P 4.676 2.761 11.470
O 1.559 5.021 10.844
CELL_PARAMETERS angstrom
6.235 0.000 0.000
0.000 7.142 0.000
0.000 0.000 14.294
! VASP energy	-6.2537	eV per atom

! DyFeGe2 PBE relaxed; values from VASP
&SYSTEM
  ibrav = 0, nat = 8, ntyp = 3
/
ATOMIC_SPECIES
Fe 55.84 Fe.upf
Ge 72.64 Ge.upf
Dy 162.50 Dy.upf
ATOMIC_POSITIONS angstrom
Fe 2.081 3.005 3.242
Ge 2.081 -4.028 3.242
Dy 2.081 -6.417 1.081
Fe 2.081 -3.005 1.081
Ge 2.081 -0.713 1.081
Dy 2.081 6.417 3.242
Ge 2.081 4.028 1.081
Ge 2.081 0.713 3.242
CELL_PARAMETERS angstrom
2.081 -8.144 0.000
2.081 8.144 0.000
0.000 0.000 4.323
! VASP energy	-6.0371	eV per atom

! Ca4RuN4 PBE relaxed; values from VASP
&SYSTEM
  ibrav = 0, nat = 36, ntyp = 3
/
ATOMIC_SPECIES
Ru 101.07 Ru.upf
Ca 40.08 Ca.upf
N 14.01 N.upf
ATOMIC_POSITIONS angstrom
Ru -10.951 -1.000 5.125
Ca -6.218 0.784 3.985
Ca -10.542 -3.515 3.788
Ca -2.602 3.584 5.859
N -5.895 9.298 7.800
Ca -7.878 1.306 6.994
N -5.719 1.564 6.217
N -4.456 1.651 5.733
N -5.055 10.352 7.940
N -2.900 -0.817 1.865
Ca -6.131 3.820 5.358
Ca -2.864 0.316 4.452
N -2.176 0.269 2.068
N -8.115 -4.172 4.552
Ru -9.317 6.251 9.886
Ca -5.606 -3.737 3.711
Ca -7.792 4.342 8.367
N -8.955 -5.226 4.412
Ca -0.441 -1.519 2.594
N -8.291 3.562 6.135
Ca -8.404 8.863 8.641
Ca -8.077 -1.952 5.566
Ru -4.692 -1.125 2.466
N -9.554 3.475 6.619
N -8.414 0.348 4.696
N -5.596 4.778 7.657
N -11.109 5.943 10.488
Ca -3.467 8.641 8.564
N -9.628 0.382 5.216
N -4.382 4.743 7.136
N -11.834 4.856 10.285
Ca -13.569 6.645 9.758
Ca -11.408 1.542 6.493
Ca -5.933 7.078 6.787
Ru -3.059 6.125 7.228
Ca -11.145 4.810 7.900
CELL_PARAMETERS angstrom
-10.028 -5.442 1.642
1.244 -1.388 2.993
-5.225 11.956 7.717
! distance to the lowest polymorph of the same formula	304	meV per atom

Ρ (computed, kg/m³): 3950; 6528; 10018; 6474; 3503; 2850; 3433; 12381; 11009; 3729; 8239; 3421